1.
MoS3 PBE-GGA optimized geometry; ΔE_f = -0.598 eV/atom; crystal system = monoclinic; V = 26.167 Å³/atom
1.0
6.107 0.000 0.000
0.000 4.425 0.000
-2.236 0.000 7.746
Mo S
2 6
direct
0.207 0.250 0.193
0.793 0.750 0.807
0.044 0.750 0.119
0.204 0.250 0.457
0.449 0.750 0.815
0.551 0.250 0.185
0.796 0.750 0.543
0.956 0.250 0.881

---

2.
ScGa3 PBE-GGA optimized geometry; ΔE_f = -0.501 eV/atom; crystal system = cubic; V = 17.504 Å³/atom
1.0
4.122 0.000 0.000
0.000 4.122 0.000
0.000 0.000 4.122
Sc Ga
1 3
direct
0.000 0.000 0.000
0.000 0.500 0.500
0.500 0.000 0.500
0.500 0.500 0.000

---

3.
SmCl3 PBE-GGA optimized geometry; ΔE_f = -2.660 eV/atom; crystal system = hexagonal; V = 37.279 Å³/atom
1.0
9.613 0.000 0.000
-4.806 8.325 0.000
0.000 0.000 3.727
Sm Cl
2 6
direct
0.333 0.667 0.250
0.667 0.333 0.750
0.212 0.425 0.750
0.212 0.788 0.750
0.425 0.212 0.250
0.575 0.788 0.750
0.788 0.212 0.250
0.788 0.575 0.250

---

4.
NaSbO6 PBE-GGA optimized geometry; energy above the most stable polymorph in this dataset = 0.02 eV/f.u.; ΔE_f = -0.650 eV/atom; crystal system = tetragonal; V = 16.289 Å³/atom
1.0
8.703 0.000 0.000
0.000 8.703 0.000
0.000 0.000 6.882
Na Sb O
4 4 24
direct
0.000 0.000 0.000
0.000 0.500 0.500
0.500 0.000 0.500
0.500 0.500 0.000
0.000 0.000 0.500
0.000 0.500 0.000
0.500 0.000 0.000
0.500 0.500 0.500
0.004 0.749 0.159
0.038 0.754 0.348
0.085 0.099 0.291
0.099 0.415 0.209
0.246 0.538 0.848
0.249 0.996 0.659
0.251 0.504 0.659
0.254 0.962 0.848
0.401 0.085 0.209
0.415 0.401 0.291
0.462 0.746 0.348
0.496 0.751 0.159
0.504 0.249 0.841
0.538 0.254 0.652
0.585 0.599 0.709
0.599 0.915 0.791
0.746 0.038 0.152
0.749 0.496 0.341
0.751 0.004 0.341
0.754 0.462 0.152
0.901 0.585 0.791
0.915 0.901 0.709
0.962 0.246 0.652
0.996 0.251 0.841

---

5.
Na4YNb3Si5SO24 PBE-GGA optimized geometry; ΔE_f = -2.929 eV/atom; crystal system = triclinic; V = 14.432 Å³/atom
1.0
9.076 0.000 0.000
4.519 7.895 0.000
0.093 0.005 22.961
Na Y Nb Si S O
12 3 9 15 3 72
direct
0.000 0.000 0.000
0.006 0.623 0.247
0.023 0.978 0.495
0.039 0.650 0.909
0.338 0.014 0.911
0.345 0.335 0.332
0.360 0.322 0.825
0.388 0.984 0.242
0.642 0.369 0.246
0.657 0.688 0.663
0.681 0.658 0.158
0.717 0.316 0.575
0.027 0.980 0.635
0.674 0.662 0.811
0.685 0.651 0.310
0.002 0.993 0.347
0.016 0.990 0.136
0.024 0.998 0.851
0.345 0.313 0.676
0.346 0.326 0.178
0.348 0.333 0.474
0.352 0.324 0.978
0.682 0.658 0.016
0.697 0.650 0.514
0.020 0.271 0.242
0.054 0.616 0.077
0.058 0.328 0.574
0.295 0.705 0.242
0.314 0.996 0.742
0.351 0.031 0.077
0.357 0.608 0.577
0.391 0.652 0.912
0.628 0.030 0.574
0.640 0.327 0.078
0.681 0.954 0.912
0.684 0.358 0.409
0.723 0.997 0.241
0.974 0.369 0.912
0.982 0.657 0.408
0.026 0.691 0.745
0.382 0.955 0.411
0.719 0.277 0.743
0.003 0.793 0.693
0.013 0.179 0.576
0.037 0.781 0.799
0.037 0.802 0.083
0.048 0.151 0.300
0.151 0.495 0.135
0.152 0.351 0.633
0.169 0.492 0.420
0.170 0.326 0.924
0.172 0.520 0.021
0.173 0.798 0.300
0.176 0.309 0.519
0.181 0.014 0.083
0.188 0.526 0.742
0.190 0.012 0.802
0.190 0.789 0.574
0.195 0.285 0.237
0.197 0.830 0.902
0.199 0.822 0.185
0.212 0.987 0.687
0.213 0.968 0.408
0.308 0.517 0.237
0.318 0.180 0.740
0.325 0.150 0.021
0.342 0.503 0.923
0.344 0.504 0.520
0.360 0.127 0.418
0.374 0.128 0.135
0.383 0.484 0.634
0.476 0.842 0.461
0.476 0.889 0.356
0.480 0.698 0.966
0.481 0.687 0.244
0.494 0.612 0.853
0.502 0.838 0.744
0.508 0.124 0.634
0.520 0.144 0.925
0.520 0.351 0.136
0.521 0.846 0.070
0.525 0.323 0.421
0.527 0.151 0.519
0.535 0.613 0.569
0.538 0.173 0.237
0.538 0.304 0.023
0.548 0.290 0.743
0.620 0.891 0.857
0.641 0.846 0.566
0.644 0.458 0.349
0.652 0.498 0.069
0.698 0.834 0.245
0.704 0.445 0.748
0.704 0.466 0.465
0.720 0.821 0.967
0.805 0.028 0.579
0.809 0.198 0.689
0.814 0.025 0.300
0.815 0.168 0.795
0.826 0.157 0.083
0.845 0.973 0.185
0.846 0.464 0.967
0.848 0.680 0.462
0.854 0.458 0.244
0.858 0.962 0.901
0.861 0.172 0.404
0.867 0.631 0.071
0.873 0.508 0.569
0.880 0.663 0.749
0.913 0.486 0.856
0.915 0.627 0.347
0.994 0.176 0.903
0.997 0.831 0.405
0.999 0.174 0.185

---

6.
TmZrCo2 PBE-GGA optimized geometry; ΔE_f = -0.261 eV/atom; crystal system = cubic; V = 16.898 Å³/atom
1.0
0.000 3.233 3.233
3.233 0.000 3.233
3.233 3.233 0.000
Tm Zr Co
1 1 2
direct
0.000 0.000 0.000
0.500 0.500 0.500
0.250 0.250 0.250
0.750 0.750 0.750